No. 1
First-principles (PBE-GGA) data for a relaxed Na6Bi2C4SO16 crystal, as listed in Materials Project. Values from VASP.

```
&SYSTEM
  ibrav = 0, nat = 58, ntyp = 5
/
ATOMIC_SPECIES
Na 22.99 Na.upf
Bi 208.98 Bi.upf
C 12.01 C.upf
S 32.06 S.upf
O 16.00 O.upf
CELL_PARAMETERS angstrom
0.0000 7.2824 7.2824
7.2824 0.0000 7.2824
7.2824 7.2824 0.0000
ATOMIC_POSITIONS crystal
Na 0.0794 0.0794 0.6706
Na 0.0794 0.6706 0.0794
Na 0.0794 0.6706 0.6706
Na 0.3294 0.3294 0.9206
Na 0.3294 0.9206 0.3294
Na 0.3294 0.9206 0.9206
Na 0.6706 0.0794 0.0794
Na 0.6706 0.0794 0.6706
Na 0.6706 0.6706 0.0794
Na 0.9206 0.3294 0.3294
Na 0.9206 0.3294 0.9206
Na 0.9206 0.9206 0.3294
Bi 0.0000 0.5000 0.5000
Bi 0.5000 0.0000 0.5000
Bi 0.5000 0.5000 0.0000
Bi 0.5000 0.5000 0.5000
C 0.2668 0.2668 0.2668
C 0.2668 0.2668 0.6995
C 0.2668 0.6995 0.2668
C 0.3005 0.7332 0.7332
C 0.6995 0.2668 0.2668
C 0.7332 0.3005 0.7332
C 0.7332 0.7332 0.3005
C 0.7332 0.7332 0.7332
S 0.1250 0.1250 0.1250
S 0.8750 0.8750 0.8750
O 0.0657 0.0657 0.0657
O 0.0657 0.0657 0.3029
O 0.0657 0.3029 0.0657
O 0.1387 0.2702 0.3923
O 0.1387 0.3923 0.6987
O 0.1387 0.6987 0.2702
O 0.2702 0.1387 0.6987
O 0.2702 0.3923 0.1387
O 0.2702 0.6987 0.3923
O 0.3013 0.6077 0.7298
O 0.3013 0.7298 0.8613
O 0.3013 0.8613 0.6077
O 0.3029 0.0657 0.0657
O 0.3923 0.1387 0.2702
O 0.3923 0.2702 0.6987
O 0.3923 0.6987 0.1387
O 0.6077 0.3013 0.8613
O 0.6077 0.7298 0.3013
O 0.6077 0.8613 0.7298
O 0.6971 0.9343 0.9343
O 0.6987 0.1387 0.3923
O 0.6987 0.2702 0.1387
O 0.6987 0.3923 0.2702
O 0.7298 0.3013 0.6077
O 0.7298 0.6077 0.8613
O 0.7298 0.8613 0.3013
O 0.8613 0.3013 0.7298
O 0.8613 0.6077 0.3013
O 0.8613 0.7298 0.6077
O 0.9343 0.6971 0.9343
O 0.9343 0.9343 0.6971
O 0.9343 0.9343 0.9343
```

## Properties
formation energy	-54.75	eV/f.u.
raw total energy	-359.4	eV per cell
space-group type	Fd-3

=====

No. 2
First-principles (PBE-GGA) data for a relaxed Ge crystal, as listed in Materials Project. Values from VASP.

```
&SYSTEM
  ibrav = 0, nat = 8, ntyp = 1
/
ATOMIC_SPECIES
Ge 72.64 Ge.upf
CELL_PARAMETERS angstrom
-3.5238 3.5238 3.5238
3.5238 -3.5238 3.5238
3.5238 3.5238 -3.5238
ATOMIC_POSITIONS crystal
Ge 0.0000 0.2982 0.5000
Ge 0.0000 0.7018 0.5000
Ge 0.2018 0.2018 0.2018
Ge 0.2982 0.5000 0.0000
Ge 0.5000 0.0000 0.2982
Ge 0.5000 0.0000 0.7018
Ge 0.7018 0.5000 0.0000
Ge 0.7982 0.7982 0.7982
```

## Properties
relative energy among the computed polymorphs	145.6	meV per atom
formation energy	0.15	eV/f.u.
raw total energy	-35.8	eV per cell
space-group type	Ia-3

=====

No. 3
First-principles (PBE-GGA) data for a relaxed Tb14Ag51 crystal, as listed in Materials Project. Values from VASP.

```
&SYSTEM
  ibrav = 0, nat = 65, ntyp = 2
/
ATOMIC_SPECIES
Tb 158.93 Tb.upf
Ag 107.87 Ag.upf
CELL_PARAMETERS angstrom
12.8354 0.0000 0.0000
-6.4177 11.1158 0.0000
0.0000 0.0000 9.4326
ATOMIC_POSITIONS crystal
Tb 0.0000 0.0000 0.1925
Tb 0.0000 0.0000 0.8075
Tb 0.1132 0.7267 0.5000
Tb 0.1404 0.4687 0.0000
Tb 0.2733 0.3865 0.5000
Tb 0.3283 0.8596 0.0000
Tb 0.3988 0.1173 0.5000
Tb 0.4667 0.3279 0.0000
Tb 0.5313 0.6717 0.0000
Tb 0.6135 0.8868 0.5000
Tb 0.6721 0.1387 0.0000
Tb 0.7184 0.6012 0.5000
Tb 0.8613 0.5333 0.0000
Tb 0.8827 0.2816 0.5000
Ag 0.0585 0.8209 0.0000
Ag 0.0779 0.2703 0.2591
Ag 0.0779 0.2703 0.7409
Ag 0.1040 0.6649 0.1672
Ag 0.1040 0.6649 0.8328
Ag 0.1160 0.4960 0.3485
Ag 0.1160 0.4960 0.6515
Ag 0.1302 0.0081 0.5000
Ag 0.1791 0.2376 0.0000
Ag 0.1925 0.9221 0.2591
Ag 0.1925 0.9221 0.7409
Ag 0.2386 0.0603 0.0000
Ag 0.2634 0.1889 0.2690
Ag 0.2634 0.1889 0.7310
Ag 0.3333 0.6667 0.1977
Ag 0.3333 0.6667 0.5000
Ag 0.3333 0.6667 0.8023
Ag 0.3351 0.4391 0.1672
Ag 0.3351 0.4391 0.8328
Ag 0.3800 0.8840 0.3485
Ag 0.3800 0.8840 0.6515
Ag 0.4401 0.1047 0.1668
Ag 0.4401 0.1047 0.8332
Ag 0.4928 0.3773 0.3477
Ag 0.4928 0.3773 0.6523
Ag 0.5040 0.6200 0.3485
Ag 0.5040 0.6200 0.6515
Ag 0.5609 0.8960 0.1672
Ag 0.5609 0.8960 0.8328
Ag 0.6227 0.1155 0.3477
Ag 0.6227 0.1155 0.6523
Ag 0.6647 0.5599 0.1668
Ag 0.6647 0.5599 0.8332
Ag 0.6667 0.3333 0.1970
Ag 0.6667 0.3333 0.5000
Ag 0.6667 0.3333 0.8030
Ag 0.7297 0.8075 0.2591
Ag 0.7297 0.8075 0.7409
Ag 0.7624 0.9415 0.0000
Ag 0.8111 0.0745 0.2690
Ag 0.8111 0.0745 0.7310
Ag 0.8217 0.7614 0.0000
Ag 0.8779 0.8698 0.5000
Ag 0.8845 0.5072 0.3477
Ag 0.8845 0.5072 0.6523
Ag 0.8953 0.3353 0.1668
Ag 0.8953 0.3353 0.8332
Ag 0.9255 0.7366 0.2690
Ag 0.9255 0.7366 0.7310
Ag 0.9397 0.1783 0.0000
Ag 0.9919 0.1221 0.5000
```

## Properties
formation energy	-16.05	eV/f.u.
raw total energy	-225.4	eV per cell
space-group type	P-6

=====

No. 4
First-principles (PBE-GGA) data for a relaxed KNb3F9 crystal, as listed in Materials Project. Values from VASP.

```
&SYSTEM
  ibrav = 0, nat = 26, ntyp = 3
/
ATOMIC_SPECIES
K 39.10 K.upf
Nb 92.91 Nb.upf
F 19.00 F.upf
CELL_PARAMETERS angstrom
7.9939 0.0000 0.0000
3.9943 6.9359 0.0000
0.1457 0.0583 8.3421
ATOMIC_POSITIONS crystal
K 0.0000 0.0000 0.0000
K 0.0540 0.9768 0.5051
Nb 0.0314 0.4816 0.7546
Nb 0.0318 0.4811 0.2544
Nb 0.5298 0.4811 0.7506
Nb 0.5310 0.4816 0.2509
Nb 0.5311 0.9818 0.2579
Nb 0.5310 0.9818 0.7580
F 0.0713 0.4615 0.0041
F 0.2240 0.1752 0.7340
F 0.2245 0.5946 0.2751
F 0.2248 0.1757 0.2846
F 0.2249 0.5927 0.7183
F 0.4242 0.7862 0.7189
F 0.4262 0.7829 0.2973
F 0.4889 0.5343 0.0007
F 0.4923 0.9687 0.0086
F 0.5701 0.9936 0.5072
F 0.5748 0.4259 0.5006
F 0.6355 0.1796 0.2117
F 0.6379 0.1779 0.7892
F 0.8367 0.3677 0.7819
F 0.8378 0.7876 0.2324
F 0.8389 0.3674 0.2269
F 0.8388 0.7894 0.7842
F 0.9916 0.4998 0.5047
```

## Properties
relative energy among the computed polymorphs	0.0	meV per atom
formation energy	-36.15	eV/f.u.
raw total energy	-161.3	eV per cell
space-group type	P1